[1]
Na4Ti2Si3O12: optimized geometry, PBE.

Computed properties:
* DFT formation energy: -3020 meV/atom
* raw total energy: -0.2658 hartree per atom

a = 9.000 Å, b = 9.000 Å, c = 21.861 Å
α = 90.00°, β = 90.00°, γ = 120.00°
Element x y z (fractional)
O: 0.172 0.694 0.754
O: 0.863 0.362 0.643
O: 0.638 0.500 0.643
O: 0.855 0.495 0.420
O: 0.145 0.505 0.580
O: 0.196 0.167 0.810
O: 0.804 0.971 0.690
O: 0.029 0.833 0.690
O: 0.027 0.839 0.413
O: 0.027 0.188 0.913
O: 0.839 0.027 0.087
O: 0.971 0.804 0.810
O: 0.694 0.522 0.246
O: 0.522 0.828 0.754
O: 0.304 0.834 0.977
O: 0.167 0.196 0.690
O: 0.145 0.640 0.080
O: 0.172 0.478 0.254
O: 0.306 0.828 0.254
O: 0.161 0.188 0.413
O: 0.696 0.166 0.023
O: 0.834 0.304 0.523
O: 0.522 0.694 0.254
O: 0.161 0.973 0.913
O: 0.804 0.833 0.190
O: 0.166 0.471 0.977
O: 0.478 0.306 0.746
O: 0.529 0.696 0.977
O: 0.500 0.863 0.357
O: 0.500 0.137 0.643
O: 0.137 0.500 0.857
O: 0.828 0.306 0.246
O: 0.362 0.863 0.857
O: 0.304 0.471 0.477
O: 0.640 0.145 0.420
O: 0.500 0.362 0.143
O: 0.167 0.971 0.190
O: 0.495 0.855 0.080
O: 0.188 0.027 0.587
O: 0.839 0.812 0.587
O: 0.471 0.304 0.023
O: 0.166 0.696 0.477
O: 0.834 0.529 0.023
O: 0.471 0.166 0.523
O: 0.696 0.529 0.523
O: 0.973 0.161 0.587
O: 0.360 0.855 0.580
O: 0.495 0.640 0.580
O: 0.505 0.145 0.920
O: 0.973 0.812 0.087
O: 0.505 0.360 0.420
O: 0.812 0.973 0.413
O: 0.529 0.834 0.477
O: 0.971 0.167 0.310
O: 0.833 0.804 0.310
O: 0.640 0.495 0.920
O: 0.188 0.161 0.087
O: 0.196 0.029 0.310
O: 0.812 0.839 0.913
O: 0.500 0.638 0.857
O: 0.638 0.137 0.143
O: 0.306 0.478 0.754
O: 0.694 0.172 0.746
O: 0.360 0.505 0.080
O: 0.833 0.029 0.810
O: 0.863 0.500 0.143
O: 0.362 0.500 0.357
O: 0.855 0.360 0.920
O: 0.029 0.196 0.190
O: 0.478 0.172 0.246
O: 0.828 0.522 0.746
O: 0.137 0.638 0.357
Si: 0.289 0.000 0.250
Si: 0.289 0.289 0.750
Si: 0.044 0.667 0.417
Si: 0.333 0.378 0.417
Si: 0.956 0.333 0.583
Si: 0.044 0.378 0.917
Si: 0.956 0.622 0.083
Si: 0.000 0.289 0.250
Si: 0.378 0.044 0.583
Si: 0.667 0.044 0.083
Si: 0.000 0.711 0.750
Si: 0.711 0.711 0.250
Si: 0.378 0.333 0.083
Si: 0.667 0.622 0.583
Si: 0.622 0.956 0.417
Si: 0.333 0.956 0.917
Si: 0.622 0.667 0.917
Si: 0.711 0.000 0.750
Na: 0.628 0.000 0.250
Na: 0.706 0.667 0.417
Na: 0.000 0.628 0.250
Na: 0.667 0.333 0.833
Na: 0.961 0.667 0.917
Na: 0.706 0.039 0.917
Na: 0.372 0.000 0.750
Na: 0.000 0.000 0.000
Na: 0.294 0.333 0.583
Na: 0.667 0.706 0.083
Na: 0.039 0.706 0.583
Na: 0.667 0.333 0.333
Na: 0.333 0.294 0.917
Na: 0.000 0.372 0.750
Na: 0.039 0.333 0.083
Na: 0.294 0.961 0.083
Na: 0.667 0.961 0.583
Na: 0.961 0.294 0.417
Na: 0.333 0.667 0.167
Na: 0.628 0.628 0.750
Na: 0.333 0.667 0.667
Na: 0.000 0.000 0.500
Na: 0.333 0.039 0.417
Na: 0.372 0.372 0.250
Ti: 0.667 0.333 0.980
Ti: 0.667 0.333 0.687
Ti: 0.000 0.000 0.147
Ti: 0.667 0.333 0.480
Ti: 0.000 0.000 0.353
Ti: 0.000 0.000 0.853
Ti: 0.667 0.333 0.187
Ti: 0.333 0.667 0.313
Ti: 0.333 0.667 0.020
Ti: 0.000 0.000 0.647
Ti: 0.333 0.667 0.520
Ti: 0.333 0.667 0.813

---

[2]
Na2TiSi4O11: optimized geometry, PBE.

Computed properties:
* DFT formation energy: -3122 meV/atom
* raw total energy: -0.2762 hartree per atom

a = 8.652 Å, b = 8.652 Å, c = 8.652 Å
α = 102.03°, β = 102.03°, γ = 125.66°
Element x y z (fractional)
Na: 0.134 0.817 0.951
Na: 0.183 0.134 0.316
Na: 0.817 0.866 0.684
Na: 0.866 0.183 0.049
Ti: 0.256 0.256 0.000
Ti: 0.744 0.744 0.000
Si: 0.001 0.680 0.296
Si: 0.295 0.999 0.679
Si: 0.320 0.616 0.321
Si: 0.384 0.705 0.704
Si: 0.616 0.295 0.296
Si: 0.680 0.384 0.679
Si: 0.705 0.001 0.321
Si: 0.999 0.320 0.704
O: 0.000 0.000 0.000
O: 0.054 0.281 0.872
O: 0.092 0.558 0.269
O: 0.178 0.908 0.466
O: 0.182 0.054 0.773
O: 0.196 0.458 0.654
O: 0.281 0.409 0.227
O: 0.289 0.822 0.731
O: 0.409 0.182 0.128
O: 0.442 0.711 0.534
O: 0.458 0.804 0.262
O: 0.500 0.500 0.000
O: 0.542 0.196 0.738
O: 0.558 0.289 0.466
O: 0.591 0.818 0.872
O: 0.711 0.178 0.269
O: 0.719 0.591 0.773
O: 0.804 0.542 0.346
O: 0.818 0.946 0.227
O: 0.822 0.092 0.534
O: 0.908 0.442 0.731
O: 0.946 0.719 0.128

---

[3]
Na2TiSiO5: optimized geometry, PBE.

Computed properties:
* DFT formation energy: -2918 meV/atom
* raw total energy: -0.2594 hartree per atom

a = 10.154 Å, b = 10.154 Å, c = 9.254 Å
α = 90.00°, β = 90.00°, γ = 90.00°
Element x y z (fractional)
Na: 0.000 0.247 0.000
Na: 0.000 0.753 0.000
Na: 0.239 0.752 0.251
Na: 0.239 0.752 0.749
Na: 0.247 0.000 0.500
Na: 0.247 0.499 0.500
Na: 0.248 0.239 0.249
Na: 0.248 0.239 0.751
Na: 0.499 0.753 0.000
Na: 0.501 0.247 0.000
Na: 0.752 0.761 0.249
Na: 0.752 0.761 0.751
Na: 0.753 0.000 0.500
Na: 0.753 0.501 0.500
Na: 0.761 0.248 0.251
Na: 0.761 0.248 0.749
Ti: 0.035 0.241 0.500
Ti: 0.240 0.465 0.000
Ti: 0.241 0.965 0.000
Ti: 0.465 0.760 0.500
Ti: 0.535 0.240 0.500
Ti: 0.759 0.035 0.000
Ti: 0.760 0.535 0.000
Ti: 0.965 0.759 0.500
Si: 0.000 0.000 0.250
Si: 0.000 0.000 0.750
Si: 0.000 0.500 0.248
Si: 0.000 0.500 0.752
Si: 0.500 0.000 0.252
Si: 0.500 0.000 0.748
Si: 0.500 0.500 0.250
Si: 0.500 0.500 0.750
O: 0.046 0.874 0.351
O: 0.046 0.874 0.649
O: 0.048 0.378 0.351
O: 0.048 0.378 0.649
O: 0.126 0.046 0.149
O: 0.126 0.046 0.851
O: 0.126 0.549 0.149
O: 0.126 0.549 0.851
O: 0.201 0.209 0.500
O: 0.207 0.299 0.000
O: 0.209 0.799 0.000
O: 0.299 0.793 0.500
O: 0.378 0.449 0.149
O: 0.378 0.449 0.851
O: 0.378 0.952 0.149
O: 0.378 0.952 0.851
O: 0.449 0.622 0.351
O: 0.449 0.622 0.649
O: 0.451 0.126 0.351
O: 0.451 0.126 0.649
O: 0.549 0.874 0.351
O: 0.549 0.874 0.649
O: 0.551 0.378 0.351
O: 0.551 0.378 0.649
O: 0.622 0.048 0.149
O: 0.622 0.048 0.851
O: 0.622 0.551 0.149
O: 0.622 0.551 0.851
O: 0.701 0.207 0.500
O: 0.791 0.201 0.000
O: 0.793 0.701 0.000
O: 0.799 0.791 0.500
O: 0.874 0.451 0.149
O: 0.874 0.451 0.851
O: 0.874 0.954 0.149
O: 0.874 0.954 0.851
O: 0.952 0.622 0.351
O: 0.952 0.622 0.649
O: 0.954 0.126 0.351
O: 0.954 0.126 0.649

---

[4]
Na4Ti4Si3O22: optimized geometry, PBE.

Computed properties:
* DFT formation energy: -2083 meV/atom
* raw total energy: -0.2570 hartree per atom

a = 7.803 Å, b = 7.803 Å, c = 7.803 Å
α = 87.04°, β = 87.04°, γ = 87.04°
Element x y z (fractional)
Na: 0.000 0.000 0.000
Na: 0.236 0.656 0.656
Na: 0.656 0.236 0.656
Na: 0.656 0.656 0.236
Ti: 0.124 0.124 0.420
Ti: 0.124 0.420 0.124
Ti: 0.388 0.388 0.388
Ti: 0.420 0.124 0.124
Si: 0.262 0.262 0.768
Si: 0.262 0.768 0.262
Si: 0.768 0.262 0.262
O: 0.136 0.136 0.670
O: 0.136 0.670 0.136
O: 0.138 0.383 0.383
O: 0.143 0.401 0.880
O: 0.143 0.880 0.401
O: 0.155 0.155 0.155
O: 0.381 0.381 0.637
O: 0.381 0.637 0.381
O: 0.383 0.138 0.383
O: 0.383 0.383 0.138
O: 0.401 0.143 0.880
O: 0.401 0.880 0.143
O: 0.583 0.797 0.797
O: 0.612 0.612 0.826
O: 0.612 0.826 0.612
O: 0.637 0.381 0.381
O: 0.670 0.136 0.136
O: 0.797 0.583 0.797
O: 0.797 0.797 0.583
O: 0.826 0.612 0.612
O: 0.880 0.143 0.401
O: 0.880 0.401 0.143

---

[5]
Na2Ti2Si2O9: optimized geometry, PBE.

Computed properties:
* DFT formation energy: -3163 meV/atom
* raw total energy: -0.2819 hartree per atom

a = 8.798 Å, b = 5.287 Å, c = 14.735 Å
α = 90.00°, β = 90.00°, γ = 90.00°
Element x y z (fractional)
Na: 0.063 0.141 0.154
Na: 0.063 0.859 0.654
Na: 0.437 0.359 0.654
Na: 0.437 0.641 0.154
Na: 0.563 0.359 0.846
Na: 0.563 0.641 0.346
Na: 0.937 0.141 0.346
Na: 0.937 0.859 0.846
Ti: 0.150 0.370 0.831
Ti: 0.150 0.630 0.331
Ti: 0.350 0.130 0.331
Ti: 0.350 0.870 0.831
Ti: 0.650 0.130 0.169
Ti: 0.650 0.870 0.669
Ti: 0.850 0.370 0.669
Ti: 0.850 0.630 0.169
Si: 0.158 0.300 0.527
Si: 0.158 0.700 0.027
Si: 0.342 0.200 0.027
Si: 0.342 0.800 0.527
Si: 0.658 0.200 0.473
Si: 0.658 0.800 0.973
Si: 0.842 0.300 0.973
Si: 0.842 0.700 0.473
O: 0.000 0.492 0.750
O: 0.000 0.508 0.250
O: 0.006 0.259 0.926
O: 0.006 0.741 0.426
O: 0.165 0.299 0.416
O: 0.165 0.701 0.916
O: 0.183 0.059 0.778
O: 0.183 0.941 0.278
O: 0.235 0.436 0.067
O: 0.235 0.564 0.567
O: 0.265 0.064 0.567
O: 0.265 0.936 0.067
O: 0.317 0.441 0.278
O: 0.317 0.559 0.778
O: 0.335 0.201 0.916
O: 0.335 0.799 0.416
O: 0.494 0.241 0.426
O: 0.494 0.759 0.926
O: 0.500 0.008 0.250
O: 0.500 0.992 0.750
O: 0.506 0.241 0.074
O: 0.506 0.759 0.574
O: 0.665 0.201 0.584
O: 0.665 0.799 0.084
O: 0.683 0.441 0.222
O: 0.683 0.559 0.722
O: 0.735 0.064 0.933
O: 0.735 0.936 0.433
O: 0.765 0.436 0.433
O: 0.765 0.564 0.933
O: 0.817 0.059 0.722
O: 0.817 0.941 0.222
O: 0.835 0.299 0.084
O: 0.835 0.701 0.584
O: 0.994 0.259 0.574
O: 0.994 0.741 0.074